This record from the Materials Project describes a geometry-optimized EuNbCrSnO6 structure. The functional is GGA+U.

Results
* E: -83.56 eV/f.u.

Geometry as CIF:
```
data_EuNbCrSnO6
_chemical_formula_sum 'Eu4 Nb4 Cr4 Sn4 O24'
_symmetry_space_group_name_H-M 'F -4 3 m'
_symmetry_Int_Tables_number 216
_symmetry_space_group_name_Hall 'F -4 2 3'
_cell_length_a 8.074
_cell_length_b 8.074
_cell_length_c 8.074
_cell_angle_alpha 90.00
_cell_angle_beta 90.00
_cell_angle_gamma 90.00
loop_
_atom_site_label
_atom_site_fract_x
_atom_site_fract_y
_atom_site_fract_z
Eu1 0.000 0.000 0.000
Nb1 0.250 0.250 0.250
Cr1 0.250 0.250 0.750
Sn1 0.000 0.000 0.500
O1 0.001 0.250 0.750
```

This record from the Materials Project describes a geometry-optimized SrEuNbCrO6 structure. The functional is GGA+U.

Results
* E: -86.00 eV/f.u.

Geometry as CIF:
```
data_SrEuNbCrO6
_chemical_formula_sum 'Sr4 Eu4 Nb4 Cr4 O24'
_symmetry_space_group_name_H-M 'F -4 3 m'
_symmetry_Int_Tables_number 216
_symmetry_space_group_name_Hall 'F -4 2 3'
_cell_length_a 8.016
_cell_length_b 8.016
_cell_length_c 8.016
_cell_angle_alpha 90.00
_cell_angle_beta 90.00
_cell_angle_gamma 90.00
loop_
_atom_site_label
_atom_site_fract_x
_atom_site_fract_y
_atom_site_fract_z
Sr1 0.000 0.000 0.000
Eu1 0.000 0.000 0.500
Nb1 0.250 0.250 0.250
Cr1 0.250 0.250 0.750
O1 0.001 0.250 0.750
```

This record from the Materials Project describes a geometry-optimized EuCrO4 structure. The functional is GGA+U.

Results
* E: -50.01 eV/f.u.

Geometry as CIF:
```
data_EuCrO4
_chemical_formula_sum 'Eu4 Cr4 O16'
_symmetry_space_group_name_H-M 'I 41/a m d'
_symmetry_Int_Tables_number 141
_cell_length_a 7.438
_cell_length_b 7.438
_cell_length_c 6.444
_cell_angle_alpha 90.00
_cell_angle_beta 90.00
_cell_angle_gamma 90.00
loop_
_symmetry_equiv_pos_as_xyz
'x,y,z'
'-x,-y,-z'
'-y+1/4,x+3/4,z+1/4'
'y+1/4,-x+3/4,-z+1/4'
'-x+1/2,-y,z+1/2'
'x+1/2,y,-z+1/2'
'y+1/4,-x+1/4,z+3/4'
'-y+1/4,x+1/4,-z+3/4'
'x,-y,-z'
'-x,y,z'
'-y+1/4,-x+1/4,-z+3/4'
'y+1/4,x+1/4,z+3/4'
'-x+1/2,y,-z+1/2'
'x+1/2,-y,z+1/2'
'y+1/4,x+3/4,-z+1/4'
'-y+1/4,-x+3/4,z+1/4'
'x+1/2,y+1/2,z+1/2'
'-x+1/2,-y+1/2,-z+1/2'
'-y+3/4,x+1/4,z+3/4'
'y+3/4,-x+1/4,-z+3/4'
'-x,-y+1/2,z'
'x,y+1/2,-z'
'y+3/4,-x+3/4,z+1/4'
'-y+3/4,x+3/4,-z+1/4'
'x+1/2,-y+1/2,-z+1/2'
'-x+1/2,y+1/2,z+1/2'
'-y+3/4,-x+3/4,-z+1/4'
'y+3/4,x+3/4,z+1/4'
'-x,y+1/2,-z'
'x,-y+1/2,z'
'y+3/4,x+1/4,-z+3/4'
'-y+3/4,-x+1/4,z+3/4'
loop_
_atom_site_label
_atom_site_fract_x
_atom_site_fract_y
_atom_site_fract_z
Eu1 0.000 0.250 0.375
Cr1 0.000 0.250 0.875
O1 0.000 0.072 0.712
```

This record from the Materials Project describes a geometry-optimized Eu2Cr2O5 structure. The functional is GGA+U.

Results
* E: -68.54 eV/f.u.

Geometry as CIF:
```
data_Eu2Cr2O5
_chemical_formula_sum 'Eu8 Cr8 O20'
_symmetry_space_group_name_H-M 'I m a 2'
_symmetry_Int_Tables_number 46
_symmetry_space_group_name_Hall 'I 2 -2a'
_cell_length_a 15.753
_cell_length_b 5.611
_cell_length_c 5.492
_cell_angle_alpha 90.00
_cell_angle_beta 90.00
_cell_angle_gamma 90.00
loop_
_atom_site_label
_atom_site_fract_x
_atom_site_fract_y
_atom_site_fract_z
Eu1 0.110 0.014 0.000
Cr1 0.000 0.000 0.504
Cr2 0.250 0.545 0.970
O1 0.013 0.746 0.751
O2 0.130 0.052 0.517
O3 0.250 0.608 0.602
```